No. 1
Compound: TeAsRh
Source: Materials Project
Functional: PBE
Structure: optimized geometry

SG: No. 198

Cell: 6.237 6.237 6.237 Å, 90.00 90.00 90.00°
Element x y z (fractional)
1 Te 0.122 0.622 0.878
2 Te 0.622 0.878 0.122
3 Te 0.878 0.122 0.622
4 Te 0.378 0.378 0.378
5 As 0.877 0.377 0.123
6 As 0.377 0.123 0.877
7 As 0.123 0.877 0.377
8 As 0.623 0.623 0.623
9 Rh 0.490 0.990 0.510
10 Rh 0.990 0.510 0.490
11 Rh 0.510 0.490 0.990
12 Rh 0.010 0.010 0.010



No. 2
Compound: Tm3C4
Source: Materials Project
Functional: PBE
Structure: optimized geometry

SG: No. 128

Cell: 7.956 7.956 15.804 Å, 90.00 90.00 90.00°
Element x y z (fractional)
1 Tm 0.500 0.500 0.500
2 Tm 0.000 0.000 0.000
3 Tm 0.500 0.500 0.187
4 Tm 0.000 0.000 0.687
5 Tm 0.500 0.500 0.813
6 Tm 0.000 0.000 0.313
7 Tm 0.703 0.904 0.500
8 Tm 0.297 0.096 0.500
9 Tm 0.797 0.404 0.000
10 Tm 0.203 0.596 0.000
11 Tm 0.904 0.297 0.500
12 Tm 0.096 0.703 0.500
13 Tm 0.404 0.203 0.000
14 Tm 0.596 0.797 0.000
15 Tm 0.788 0.600 0.354
16 Tm 0.212 0.400 0.354
17 Tm 0.712 0.100 0.854
18 Tm 0.288 0.900 0.854
19 Tm 0.600 0.212 0.354
20 Tm 0.400 0.788 0.354
21 Tm 0.100 0.288 0.854
22 Tm 0.900 0.712 0.854
23 Tm 0.212 0.400 0.646
24 Tm 0.788 0.600 0.646
25 Tm 0.288 0.900 0.146
26 Tm 0.712 0.100 0.146
27 Tm 0.400 0.788 0.646
28 Tm 0.600 0.212 0.646
29 Tm 0.900 0.712 0.146
30 Tm 0.100 0.288 0.146
31 C 0.500 0.500 0.958
32 C 0.000 0.000 0.458
33 C 0.500 0.500 0.042
34 C 0.000 0.000 0.542
35 C 0.500 0.500 0.343
36 C 0.000 0.000 0.843
37 C 0.500 0.500 0.657
38 C 0.000 0.000 0.157
39 C 0.606 0.197 0.500
40 C 0.394 0.803 0.500
41 C 0.894 0.697 0.000
42 C 0.106 0.303 0.000
43 C 0.197 0.394 0.500
44 C 0.803 0.606 0.500
45 C 0.697 0.106 0.000
46 C 0.303 0.894 0.000
47 C 0.693 0.902 0.328
48 C 0.307 0.098 0.328
49 C 0.807 0.402 0.828
50 C 0.193 0.598 0.828
51 C 0.902 0.307 0.328
52 C 0.098 0.693 0.328
53 C 0.402 0.193 0.828
54 C 0.598 0.807 0.828
55 C 0.307 0.098 0.672
56 C 0.693 0.902 0.672
57 C 0.193 0.598 0.172
58 C 0.807 0.402 0.172
59 C 0.098 0.693 0.672
60 C 0.902 0.307 0.672
61 C 0.598 0.807 0.172
62 C 0.402 0.193 0.172
63 C 0.650 0.850 0.250
64 C 0.350 0.150 0.250
65 C 0.850 0.350 0.750
66 C 0.150 0.650 0.750
67 C 0.850 0.350 0.250
68 C 0.150 0.650 0.250
69 C 0.350 0.150 0.750
70 C 0.650 0.850 0.750



| no. | E_form (kJ per mole of atoms) |
| --- | --- |
| 1 | -47 |
| 2 | -35 |